# 1
A relaxed structure of CdBiS2Br. Source: the Materials Project, functional PBE.

abc: 4.059 6.909 9.713
angles: 91.68 90.00 107.08
Positions (direct):
Cd 0.000 0.000 0.500
Cd 0.000 0.000 0.000
Bi 0.282 0.565 0.694
Bi 0.718 0.435 0.306
S 0.356 0.711 0.446
S 0.918 0.836 0.744
S 0.644 0.289 0.554
S 0.082 0.164 0.256
Br 0.362 0.723 0.072
Br 0.638 0.277 0.928

Calculated values
- Symmetry: No. 12
- Total magnetic moment: 0.0000 μB/atom

# 2
A relaxed structure of CdBiSe2Br. Source: the Materials Project, functional PBE.

abc: 4.171 10.207 13.421
angles: 90.00 90.00 90.00
Positions (direct):
Cd 0.750 0.007 0.764
Cd 0.750 0.507 0.736
Cd 0.250 0.993 0.236
Cd 0.250 0.493 0.264
Bi 0.750 0.811 0.470
Bi 0.250 0.689 0.970
Bi 0.750 0.311 0.030
Bi 0.250 0.189 0.530
Se 0.250 0.251 0.169
Se 0.250 0.751 0.331
Se 0.750 0.749 0.831
Se 0.750 0.555 0.114
Se 0.750 0.249 0.669
Se 0.250 0.945 0.614
Se 0.250 0.445 0.886
Se 0.750 0.055 0.386
Br 0.250 0.076 0.895
Br 0.750 0.924 0.105
Br 0.750 0.424 0.395
Br 0.250 0.576 0.605

Calculated values
- Symmetry: No. 62

# 3
A relaxed structure of Cs3BiBr6. Source: the Materials Project, functional PBE.

abc: 8.894 8.894 8.894
angles: 60.00 60.00 60.00
Positions (direct):
Cs 0.750 0.750 0.750
Cs 0.250 0.250 0.250
Cs 0.500 0.500 0.500
Bi 0.000 0.000 0.000
Br 0.772 0.228 0.228
Br 0.228 0.228 0.772
Br 0.228 0.772 0.772
Br 0.228 0.772 0.228
Br 0.772 0.228 0.772
Br 0.772 0.772 0.228

Calculated values
- Symmetry: No. 225
- Total magnetic moment: 0.0002 μB/atom

# 4
A relaxed structure of CsBi2Br7. Source: the Materials Project, functional PBE.

abc: 7.816 9.840 10.844
angles: 75.92 83.55 76.30
Positions (direct):
Cs 0.388 0.859 0.315
Cs 0.612 0.141 0.685
Bi 0.871 0.642 0.625
Bi 0.129 0.358 0.375
Bi 0.306 0.705 0.939
Bi 0.694 0.295 0.061
Br 0.868 0.871 0.432
Br 0.132 0.129 0.568
Br 0.967 0.790 0.793
Br 0.033 0.210 0.207
Br 0.503 0.764 0.675
Br 0.497 0.236 0.325
Br 0.764 0.485 0.452
Br 0.236 0.515 0.548
Br 0.894 0.347 0.831
Br 0.106 0.653 0.169
Br 0.271 0.980 0.947
Br 0.729 0.020 0.053
Br 0.618 0.624 0.067
Br 0.382 0.376 0.933

Calculated values
- Symmetry: No. 2

# 5
A relaxed structure of Cs2CuBiBr6. Source: the Materials Project, functional PBE.

abc: 7.902 7.902 7.902
angles: 60.00 60.00 60.00
Positions (direct):
Cs 0.750 0.750 0.750
Cs 0.250 0.250 0.250
Cu 0.500 0.500 0.500
Bi 0.000 0.000 0.000
Br 0.740 0.260 0.260
Br 0.260 0.260 0.740
Br 0.260 0.740 0.740
Br 0.260 0.740 0.260
Br 0.740 0.260 0.740
Br 0.740 0.740 0.260

Calculated values
- Symmetry: No. 225
- Total magnetic moment: 0.0001 μB/atom

# 6
A relaxed structure of Cs2InBiBr6. Source: the Materials Project, functional PBE.

abc: 8.450 8.450 8.450
angles: 60.00 60.00 60.00
Positions (direct):
Cs 0.750 0.750 0.750
Cs 0.250 0.250 0.250
In 0.500 0.500 0.500
Bi 0.000 0.000 0.000
Br 0.758 0.242 0.242
Br 0.242 0.242 0.758
Br 0.242 0.758 0.758
Br 0.242 0.758 0.242
Br 0.758 0.242 0.758
Br 0.758 0.758 0.242

Calculated values
- Symmetry: No. 225
- Total magnetic moment: 0.0000 μB/atom

# 7
A relaxed structure of Cs2LiBiBr6. Source: the Materials Project, functional PBE.

abc: 8.023 8.023 8.023
angles: 60.00 60.00 60.00
Positions (direct):
Cs 0.750 0.750 0.750
Cs 0.250 0.250 0.250
Li 0.500 0.500 0.500
Bi 0.000 0.000 0.000
Br 0.746 0.254 0.254
Br 0.254 0.254 0.746
Br 0.254 0.746 0.746
Br 0.254 0.746 0.254
Br 0.746 0.254 0.746
Br 0.746 0.746 0.254

Calculated values
- Symmetry: No. 225
- Total magnetic moment: 0.0000 μB/atom

# 8
A relaxed structure of K2CuBiBr6. Source: the Materials Project, functional PBE.

abc: 7.804 7.804 7.804
angles: 60.00 60.00 60.00
Positions (direct):
K 0.750 0.750 0.750
K 0.250 0.250 0.250
Cu 0.500 0.500 0.500
Bi 0.000 0.000 0.000
Br 0.739 0.261 0.261
Br 0.261 0.261 0.739
Br 0.261 0.739 0.739
Br 0.261 0.739 0.261
Br 0.739 0.261 0.739
Br 0.739 0.739 0.261

Calculated values
- Symmetry: No. 225
- Total magnetic moment: 0.0000 μB/atom

Number 1: calculated total energy -3.505 eV per atom, energy relative to the elements -0.8680 eV per atom, volume 26.02 Å³ per atom. Number 2: calculated total energy -3.242 eV per atom, energy relative to the elements -0.6605 eV per atom, volume 28.57 Å³ per atom. Number 3: calculated total energy -3.017 eV per atom, energy relative to the elements -1.6981 eV per atom, volume 49.76 Å³ per atom. Number 4: calculated total energy -3.004 eV per atom, energy relative to the elements -1.3647 eV per atom, volume 39.23 Å³ per atom. Number 5: calculated total energy -3.053 eV per atom, energy relative to the elements -1.4129 eV per atom, volume 34.89 Å³ per atom. Number 6: calculated total energy -3.028 eV per atom, energy relative to the elements -1.5230 eV per atom, volume 42.67 Å³ per atom. Number 7: calculated total energy -3.107 eV per atom, energy relative to the elements -1.6865 eV per atom, volume 36.51 Å³ per atom. Number 8: calculated total energy -3.023 eV per atom, energy relative to the elements -1.3403 eV per atom, volume 33.61 Å³ per atom.